(1)
Below is an optimized crystal structure of Li2CrP5O15, with properties calculated at the PBE+U level.

abc: 7.590 11.089 13.492
angles: 90.00 102.28 90.00
Space group Cc (No. 9)
Unique sites:
Li  0.000  0.142  0.000 (multiplicity 4)
Li  0.188  0.251  0.341 (multiplicity 4)
Cr  0.218  0.366  0.787 (multiplicity 4)
P  0.123  0.368  0.537 (multiplicity 4)
P  0.315  0.061  0.507 (multiplicity 4)
P  0.319  0.309  0.035 (multiplicity 4)
P  0.385  0.094  0.734 (multiplicity 4)
P  0.498  0.406  0.237 (multiplicity 4)
O  0.000  0.251  0.514 (multiplicity 4)
O  0.024  0.498  0.766 (multiplicity 4)
O  0.025  0.224  0.774 (multiplicity 4)
O  0.143  0.005  0.998 (multiplicity 4)
O  0.194  0.035  0.740 (multiplicity 4)
O  0.204  0.228  0.082 (multiplicity 4)
O  0.225  0.363  0.646 (multiplicity 4)
O  0.239  0.370  0.936 (multiplicity 4)
O  0.239  0.373  0.461 (multiplicity 4)
O  0.339  0.150  0.429 (multiplicity 4)
O  0.366  0.131  0.618 (multiplicity 4)
O  0.400  0.491  0.294 (multiplicity 4)
O  0.403  0.412  0.118 (multiplicity 4)
O  0.413  0.214  0.793 (multiplicity 4)
O  0.486  0.026  0.024 (multiplicity 4)

Summary:
The value obtained for the energy above the most stable polymorph in this dataset is 65 meV per atom. The calculation puts the energy of formation from the pure elements at -2558 meV per atom. The total moment comes out at 3.00 μB/f.u.

---

(2)
Below is an optimized crystal structure of Li3CrP2O8, with properties calculated at the PBE+U level.

abc: 6.251 5.410 8.217
angles: 90.00 90.52 90.00
Space group P2_1/m (No. 11)
Unique sites:
Li  0.003  0.250  0.248 (multiplicity 2)
Li  0.224  0.750  0.424 (multiplicity 2)
Li  0.229  0.250  0.922 (multiplicity 2)
Cr  0.499  0.750  0.750 (multiplicity 2)
P  0.265  0.750  0.100 (multiplicity 2)
P  0.268  0.250  0.600 (multiplicity 2)
O  0.062  0.750  0.999 (multiplicity 2)
O  0.067  0.250  0.496 (multiplicity 2)
O  0.271  0.519  0.218 (multiplicity 4)
O  0.272  0.019  0.718 (multiplicity 4)
O  0.467  0.750  0.992 (multiplicity 2)
O  0.471  0.250  0.493 (multiplicity 2)

Summary:
The value obtained for the energy above the most stable polymorph in this dataset is 0 meV per atom. The calculation puts the energy of formation from the pure elements at -2670 meV per atom. The total moment comes out at 3.00 μB/f.u.

---

(3)
Below is an optimized crystal structure of LiCrPO4, with properties calculated at the PBE+U level.

abc: 5.925 7.417 14.180
angles: 90.00 90.00 90.00
Space group Pbca (No. 61)
Unique sites:
Li  0.202  0.185  0.221 (multiplicity 8)
Cr  0.117  0.660  0.548 (multiplicity 8)
P  0.107  0.543  0.873 (multiplicity 8)
O  0.017  0.642  0.133 (multiplicity 8)
O  0.061  0.197  0.598 (multiplicity 8)
O  0.206  0.037  0.954 (multiplicity 8)
O  0.213  0.579  0.777 (multiplicity 8)

Summary:
The value obtained for the energy above the most stable polymorph in this dataset is 23 meV per atom. The calculation puts the energy of formation from the pure elements at -2543 meV per atom. The total moment comes out at 4.00 μB/f.u.

---

(4)
Below is an optimized crystal structure of Li5Cr6P5O24, with properties calculated at the PBE+U level.

abc: 6.508 6.785 10.552
angles: 72.07 72.07 89.74
Space group P1 (No. 1)
Unique sites:
Li  0.000  0.000  0.000 (multiplicity 1)
Li  0.005  0.531  0.955 (multiplicity 1)
Li  0.231  0.245  0.494 (multiplicity 1)
Li  0.275  0.783  0.448 (multiplicity 1)
Li  0.529  0.525  0.934 (multiplicity 1)
Cr  0.142  0.135  0.216 (multiplicity 1)
Cr  0.382  0.884  0.725 (multiplicity 1)
Cr  0.635  0.652  0.221 (multiplicity 1)
Cr  0.741  0.248  0.508 (multiplicity 1)
Cr  0.870  0.393  0.724 (multiplicity 1)
Cr  0.950  0.887  0.729 (multiplicity 1)
P  0.141  0.530  0.217 (multiplicity 1)
P  0.276  0.392  0.723 (multiplicity 1)
P  0.515  0.012  0.973 (multiplicity 1)
P  0.638  0.256  0.220 (multiplicity 1)
P  0.767  0.774  0.466 (multiplicity 1)
O  0.004  0.873  0.381 (multiplicity 1)
O  0.053  0.317  0.343 (multiplicity 1)
O  0.063  0.292  0.849 (multiplicity 1)
O  0.090  0.853  0.858 (multiplicity 1)
O  0.188  0.490  0.596 (multiplicity 1)
O  0.219  0.927  0.593 (multiplicity 1)
O  0.228  0.442  0.090 (multiplicity 1)
O  0.274  0.018  0.059 (multiplicity 1)
O  0.314  0.635  0.252 (multiplicity 1)
O  0.381  0.561  0.760 (multiplicity 1)
O  0.418  0.220  0.684 (multiplicity 1)
O  0.430  0.119  0.252 (multiplicity 1)
O  0.521  0.874  0.878 (multiplicity 1)
O  0.599  0.341  0.351 (multiplicity 1)
O  0.610  0.242  0.891 (multiplicity 1)
O  0.611  0.764  0.382 (multiplicity 1)
O  0.665  0.914  0.062 (multiplicity 1)
O  0.670  0.909  0.563 (multiplicity 1)
O  0.672  0.468  0.098 (multiplicity 1)
O  0.780  0.545  0.552 (multiplicity 1)
O  0.825  0.629  0.790 (multiplicity 1)
O  0.846  0.148  0.190 (multiplicity 1)
O  0.894  0.158  0.651 (multiplicity 1)
O  0.959  0.665  0.191 (multiplicity 1)

Summary:
The calculation puts the energy of formation from the pure elements at -2525 meV per atom. The total moment comes out at 18.00 μB/f.u.

---

(5)
Below is an optimized crystal structure of LiCrP2O7, with properties calculated at the PBE+U level.

abc: 6.753 8.079 9.357
angles: 90.00 107.69 90.00
Space group P2_1/c (No. 14)
Unique sites:
Li  0.215  0.114  0.045 (multiplicity 4)
Cr  0.281  0.726  0.996 (multiplicity 4)
P  0.054  0.537  0.207 (multiplicity 4)
P  0.464  0.085  0.703 (multiplicity 4)
O  0.071  0.681  0.104 (multiplicity 4)
O  0.091  0.590  0.372 (multiplicity 4)
O  0.151  0.555  0.849 (multiplicity 4)
O  0.226  0.106  0.710 (multiplicity 4)
O  0.395  0.586  0.633 (multiplicity 4)
O  0.475  0.583  0.135 (multiplicity 4)
O  0.490  0.234  0.608 (multiplicity 4)

Summary:
The value obtained for the energy above the most stable polymorph in this dataset is 34 meV per atom. The calculation puts the energy of formation from the pure elements at -2640 meV per atom. The total moment comes out at 3.00 μB/f.u.

---

(6)
Below is an optimized crystal structure of LiCrP2O7, with properties calculated at the PBE+U level.

abc: 6.959 8.263 8.987
angles: 90.00 114.56 90.00
Space group P2_1/c (No. 14)
Unique sites:
Li  0.213  0.048  0.343 (multiplicity 4)
Cr  0.266  0.080  0.886 (multiplicity 4)
P  0.033  0.736  0.964 (multiplicity 4)
P  0.442  0.730  0.257 (multiplicity 4)
O  0.029  0.099  0.664 (multiplicity 4)
O  0.081  0.603  0.406 (multiplicity 4)
O  0.128  0.249  0.459 (multiplicity 4)
O  0.243  0.659  0.102 (multiplicity 4)
O  0.384  0.239  0.308 (multiplicity 4)
O  0.391  0.619  0.821 (multiplicity 4)
O  0.489  0.582  0.380 (multiplicity 4)

Summary:
The value obtained for the energy above the most stable polymorph in this dataset is 44 meV per atom. The calculation puts the energy of formation from the pure elements at -2631 meV per atom. The total moment comes out at 3.00 μB/f.u.

---

(7)
Below is an optimized crystal structure of LiCrP4O12, with properties calculated at the PBE+U level.

abc: 12.732 8.371 9.255
angles: 90.00 90.00 90.00
Space group Pbcn (No. 60)
Unique sites:
Li  0.000  0.003  0.250 (multiplicity 4)
Cr  0.000  0.369  0.250 (multiplicity 4)
P  0.139  0.181  0.005 (multiplicity 8)
P  0.150  0.464  0.511 (multiplicity 8)
O  0.064  0.193  0.134 (multiplicity 8)
O  0.069  0.466  0.631 (multiplicity 8)
O  0.104  0.094  0.875 (multiplicity 8)
O  0.124  0.366  0.379 (multiplicity 8)
O  0.180  0.357  0.964 (multiplicity 8)
O  0.243  0.103  0.077 (multiplicity 8)

Summary:
The value obtained for the energy above the most stable polymorph in this dataset is 0 meV per atom. The calculation puts the energy of formation from the pure elements at -2642 meV per atom. The total moment comes out at 3.00 μB/f.u.

---

(8)
Below is an optimized crystal structure of LiCrP4O12, with properties calculated at the PBE+U level.

abc: 17.036 12.215 5.168
angles: 90.00 100.08 90.00
Space group C2/m (No. 12)
Unique sites:
Li  0.083  0.000  0.064 (multiplicity 4)
Cr  0.250  0.250  0.500 (multiplicity 4)
P  0.078  0.211  0.675 (multiplicity 8)
P  0.182  0.378  0.967 (multiplicity 8)
O  0.000  0.266  0.500 (multiplicity 4)
O  0.055  0.115  0.821 (multiplicity 8)
O  0.102  0.313  0.874 (multiplicity 8)
O  0.141  0.196  0.504 (multiplicity 8)
O  0.151  0.500  0.893 (multiplicity 4)
O  0.206  0.372  0.261 (multiplicity 8)
O  0.245  0.348  0.806 (multiplicity 8)

Summary:
The value obtained for the energy above the most stable polymorph in this dataset is 43 meV per atom. The calculation puts the energy of formation from the pure elements at -2599 meV per atom. The total moment comes out at 3.00 μB/f.u.

---

Q: The highest total moment belongs to which entry?
A: Li5Cr6P5O24